Fe4O3F5: optimized geometry, PBE+U.

abc: 6.2142 4.8457 9.6547
angles: 88.01 90.00 90.00
Fractional positions:
O 0.2500 0.8190 0.9071
O 0.4972 0.2864 0.3582
O 0.7500 0.1810 0.0929
O 0.5028 0.7136 0.6418
O 0.0028 0.2864 0.3582
O 0.9972 0.7136 0.6418
F 0.2500 0.1824 0.5937
F 0.4974 0.6723 0.1686
F 0.5026 0.3277 0.8314
F 0.7500 0.1997 0.6003
F 0.7500 0.7845 0.8959
F 0.9974 0.3277 0.8314
F 0.2500 0.8003 0.3997
F 0.0026 0.6723 0.1686
F 0.7500 0.8176 0.4063
F 0.2500 0.2155 0.1041
Fe 0.0000 0.0000 0.5000
Fe 0.5000 0.0000 0.5000
Fe 0.0000 0.0000 0.0000
Fe 0.5000 0.0000 0.0000
Fe 0.2500 0.4607 0.2693
Fe 0.7500 0.5393 0.7307
Fe 0.2500 0.5913 0.7589
Fe 0.7500 0.4087 0.2411

Properties
- energy relative to the elements (eV per atom) = -2.1211
- E (eV per cell) = -140.71
- crystal system = monoclinic

=====

BaAlCr4O7: optimized geometry, PBE+U.

abc: 6.1073 6.1073 10.4724
angles: 90.00 90.00 120.00
Fractional positions:
O 0.8147 0.6294 0.9922
O 0.4875 0.5125 0.2652
O 0.0000 0.0000 0.7799
O 0.0249 0.5125 0.2652
O 0.5125 0.0249 0.7652
O 0.5125 0.4875 0.7652
O 0.3706 0.1853 0.9922
O 0.1853 0.3706 0.4922
O 0.0000 0.0000 0.2799
O 0.6294 0.8147 0.4922
O 0.9751 0.4875 0.7652
O 0.8147 0.1853 0.9922
O 0.1853 0.8147 0.4922
O 0.4875 0.9751 0.2652
Cr 0.6762 0.8381 0.6868
Cr 0.0000 0.0000 0.9615
Cr 0.3238 0.1619 0.1868
Cr 0.8381 0.6762 0.1868
Cr 0.8381 0.1619 0.1868
Cr 0.0000 0.0000 0.4615
Cr 0.1619 0.8381 0.6868
Cr 0.1619 0.3238 0.6868
Ba 0.3333 0.6667 0.9894
Ba 0.6667 0.3333 0.4894
Al 0.3333 0.6667 0.3704
Al 0.6667 0.3333 0.8704

Properties
- energy relative to the elements (eV per atom) = -2.1076
- E (eV per cell) = -187.01
- crystal system = hexagonal

=====

Li3Cr2CuO6: optimized geometry, PBE+U.

abc: 15.2953 9.7557 9.7557
angles: 17.38 16.82 16.82
Fractional positions:
Cr 0.3286 0.0044 0.0044
Cr 0.0047 0.9956 0.9956
O 0.9202 0.2538 0.2538
O 0.2440 0.2590 0.2590
O 0.0893 0.7410 0.7410
O 0.4131 0.7462 0.7462
O 0.5771 0.2609 0.2609
O 0.7562 0.7391 0.7391
Li 0.8241 0.5050 0.5050
Li 0.1667 0.5000 0.5000
Li 0.5093 0.4950 0.4950
Cu 0.6667 0.0000 0.0000

Properties
- energy relative to the elements (eV per atom) = -2.0515
- E (eV per cell) = -75.32
- crystal system = monoclinic

=====

Li3TiCo3O8: optimized geometry, PBE+U.

abc: 5.8638 5.8638 5.8638
angles: 57.96 57.96 57.96
Fractional positions:
O 0.7373 0.7373 0.7373
O 0.7601 0.2614 0.7601
O 0.2614 0.7601 0.7601
O 0.2627 0.2627 0.2627
O 0.7386 0.2399 0.2399
O 0.2399 0.7386 0.2399
O 0.7601 0.7601 0.2614
O 0.2399 0.2399 0.7386
Li 0.0000 0.0000 0.5000
Li 0.5000 0.0000 0.0000
Li 0.0000 0.5000 0.0000
Co 0.0000 0.5000 0.5000
Co 0.5000 0.0000 0.5000
Co 0.5000 0.5000 0.0000
Ti 0.0000 0.0000 0.0000

Properties
- energy relative to the elements (eV per atom) = -2.0268
- E (eV per cell) = -94.52
- crystal system = trigonal

=====

La3NdCr4O12: optimized geometry, PBE+U.

abc: 7.8729 5.5738 5.5751
angles: 89.94 90.00 90.00
Fractional positions:
Nd 0.0000 0.4894 0.4633
O 0.2920 0.7175 0.2829
O 0.7080 0.7175 0.2829
O 0.2931 0.7835 0.7836
O 0.0000 0.9123 0.5144
O 0.5000 0.0797 0.4859
O 0.7069 0.7835 0.7836
O 0.5000 0.4194 0.9857
O 0.7964 0.2847 0.7152
O 0.2036 0.2847 0.7152
O 0.0000 0.5803 0.0199
O 0.2040 0.2206 0.2201
O 0.7960 0.2206 0.2201
Cr 0.2490 0.9998 0.5003
Cr 0.7510 0.9998 0.5003
Cr 0.7506 0.5002 0.9992
Cr 0.2494 0.5002 0.9992
La 0.0000 0.0074 0.9706
La 0.5000 0.9918 0.0295
La 0.5000 0.5070 0.5282

Properties
- energy relative to the elements (eV per atom) = -3.1749
- E (eV per cell) = -164.82
- crystal system = monoclinic

=====

Ba4Fe4O11: optimized geometry, PBE+U.

abc: 5.7686 5.7956 28.4396
angles: 90.20 90.05 119.77
Fractional positions:
O 0.6615 0.8358 0.5410
O 0.5506 0.0555 0.3740
O 0.1589 0.3147 0.7105
O 0.1559 0.8224 0.2089
O 0.3152 0.1582 0.2897
O 0.4997 0.9969 0.1274
O 0.9637 0.4769 0.8734
O 0.6688 0.8390 0.0401
O 0.3156 0.1533 0.4595
O 0.0440 0.5216 0.1168
O 0.3266 0.1773 0.9646
O 0.1806 0.8410 0.7063
O 0.8389 0.1774 0.4564
O 0.8500 0.1769 0.9645
O 0.6659 0.8252 0.2109
O 0.5005 0.5573 0.6257
O 0.5118 0.0232 0.8808
O 0.8393 0.6782 0.7883
O 0.8259 0.6513 0.9580
O 0.8355 0.6598 0.4589
O 0.5540 0.4981 0.3754
O 0.1720 0.8401 0.0400
O 0.5134 0.4773 0.8735
O 0.1623 0.3276 0.2076
O 0.1767 0.8395 0.5439
O 0.8270 0.1677 0.7916
O 0.8396 0.1754 0.2926
O 0.0562 0.5506 0.6265
O 0.3410 0.1676 0.7917
O 0.1548 0.3160 0.5407
O 0.6613 0.8399 0.7064
O 0.8397 0.6612 0.2943
O 0.4805 0.5231 0.1177
Fe 0.3188 0.6381 0.5745
Fe 0.9814 0.9622 0.9950
Fe 0.6605 0.3210 0.9230
Fe 0.6378 0.3178 0.4253
Fe 0.3305 0.6630 0.1725
Fe 0.9958 0.9963 0.2491
Fe 0.3213 0.6408 0.6766
Fe 0.6670 0.3336 0.8290
Fe 0.3612 0.7205 0.0807
Fe 0.9998 0.9983 0.7513
Fe 0.6400 0.3197 0.3234
Fe 0.9944 0.9933 0.5002
Ba 0.6665 0.3298 0.2035
Ba 0.0002 0.0004 0.8736
Ba 0.3341 0.6679 0.7979
Ba 0.9852 0.9929 0.3739
Ba 0.9997 0.9969 0.1278
Ba 0.3394 0.6713 0.4587
Ba 0.9955 0.9868 0.6264
Ba 0.6725 0.3443 0.0457
Ba 0.6704 0.3389 0.7118
Ba 0.6715 0.3388 0.5411
Ba 0.3361 0.6669 0.2889
Ba 0.3334 0.6670 0.9508

Properties
- energy relative to the elements (eV per atom) = -2.2264
- E (eV per cell) = -365.11
- crystal system = triclinic

=====

K2MgP2WO10: optimized geometry, PBE+U.

abc: 9.2984 9.3137 10.8791
angles: 90.27 90.44 90.17
Fractional positions:
Mg 0.3543 0.3563 0.4951
Mg 0.6432 0.6252 0.0128
Mg 0.1550 0.8433 0.7508
Mg 0.8668 0.1231 0.2418
O 0.7570 0.2302 0.3801
O 0.0031 0.7088 0.4802
O 0.8167 0.4703 0.0216
O 0.2987 0.9870 0.0250
O 0.2786 0.7480 0.1276
O 0.2665 0.2331 0.6287
O 0.2560 0.7571 0.8997
O 0.5017 0.8082 0.9997
O 0.9573 0.9907 0.3792
O 0.2368 0.7398 0.6035
O 0.0136 0.0335 0.1173
O 0.7301 0.0279 0.5372
O 0.7434 0.7768 0.3982
O 0.2281 0.2479 0.1105
O 0.1686 0.4959 0.5072
O 0.5475 0.4961 0.8744
O 0.3345 0.9950 0.7298
O 0.0244 0.9536 0.6192
O 0.5104 0.7780 0.2878
O 0.4469 0.4997 0.3749
O 0.7615 0.7284 0.8798
O 0.4886 0.5377 0.1305
O 0.7223 0.2812 0.6073
O 0.7510 0.2794 0.8597
O 0.2084 0.4841 0.2153
O 0.4888 0.2156 0.7697
O 0.0552 0.9790 0.8773
O 0.5135 0.1814 0.4772
O 0.9888 0.2691 0.9604
O 0.2416 0.2087 0.8570
O 0.7642 0.2094 0.0845
O 0.7854 0.7850 0.6545
O 0.9975 0.6715 0.7713
O 0.7720 0.5294 0.7169
O 0.0126 0.2988 0.2502
O 0.6947 0.9709 0.2363
O 0.7392 0.7093 0.1727
O 0.2655 0.2589 0.3397
O 0.4843 0.4582 0.6305
O 0.2419 0.7133 0.3759
P 0.6773 0.8136 0.2676
P 0.1661 0.6586 0.4967
P 0.3294 0.1578 0.7415
P 0.8346 0.6817 0.7607
P 0.8249 0.3119 0.9884
P 0.6760 0.1836 0.4951
P 0.1733 0.3175 0.2346
P 0.3396 0.8218 0.0082
K 0.5164 0.7538 0.5752
K 0.5083 0.1885 0.1995
K 0.0037 0.3360 0.6774
K 0.6623 0.9977 0.8734
K 0.2635 0.4764 0.9394
K 0.9895 0.7301 0.0523
K 0.2571 0.0076 0.4502
K 0.8426 0.5000 0.3420
W 0.3798 0.6112 0.2524
W 0.6088 0.3925 0.7446
W 0.1198 0.1020 0.9932
W 0.8921 0.8922 0.5092

Properties
- energy relative to the elements (eV per atom) = -2.6861
- E (eV per cell) = -435.02
- crystal system = triclinic

=====

TaZn2WO6: optimized geometry, PBE+U.

abc: 5.5389 5.4121 9.5346
angles: 55.79 90.00 90.00
Fractional positions:
Zn 0.9915 0.2506 0.7439
Zn 0.5085 0.2506 0.2439
Zn 0.4915 0.7494 0.7561
Zn 0.0085 0.7494 0.2561
O 0.4618 0.1272 0.7391
O 0.8273 0.2663 0.9263
O 0.8124 0.6022 0.5597
O 0.1876 0.3978 0.4403
O 0.1727 0.7337 0.0737
O 0.9618 0.8728 0.7609
O 0.3124 0.3978 0.9403
O 0.3273 0.7337 0.5737
O 0.5382 0.8728 0.2609
O 0.6876 0.6022 0.0597
O 0.6727 0.2663 0.4263
O 0.0382 0.1272 0.2391
Ta 0.0000 0.5000 0.0000
Ta 0.5000 0.5000 0.5000
W 0.5000 0.0000 0.0000
W 0.0000 0.0000 0.5000

Properties
- energy relative to the elements (eV per atom) = -2.1995
- E (eV per cell) = -140.92
- crystal system = monoclinic

=====

MgMn2Al2O6: optimized geometry, PBE+U.

abc: 5.1273 5.1245 5.7575
angles: 63.64 116.62 119.96
Fractional positions:
Al 0.1763 0.8243 0.5278
Al 0.8237 0.1757 0.4722
Mg 0.0000 0.0000 0.0000
O 0.4184 0.9567 0.2713
O 0.0401 0.1896 0.2704
O 0.8089 0.5798 0.2689
O 0.1911 0.4202 0.7311
O 0.9599 0.8104 0.7296
O 0.5816 0.0433 0.7287
Mn 0.6246 0.3782 0.8698
Mn 0.3754 0.6218 0.1302

Properties
- energy relative to the elements (eV per atom) = -2.7684
- E (eV per cell) = -80.10
- crystal system = triclinic

=====

K2MoO4: optimized geometry, PBE+U.

abc: 7.0088 7.0088 7.6701
angles: 67.00 67.00 52.77
Fractional positions:
O 0.9109 0.9109 0.3623
O 0.0891 0.0891 0.6377
O 0.6210 0.0933 0.0778
O 0.6671 0.6671 0.3837
O 0.9067 0.3790 0.9222
O 0.3329 0.3329 0.6163
O 0.0933 0.6210 0.0778
O 0.3790 0.9067 0.9222
K 0.8433 0.8433 0.7491
K 0.4904 0.4904 0.2348
K 0.1567 0.1567 0.2509
K 0.5096 0.5096 0.7652
Mo 0.1761 0.1761 0.7724
Mo 0.8239 0.8239 0.2276

Properties
- energy relative to the elements (eV per atom) = -2.2102
- E (eV per cell) = -84.76
- crystal system = monoclinic

=====

LaNiAsO: optimized geometry, PBE+U.

abc: 4.1750 4.1750 8.0431
angles: 90.00 90.00 90.00
Fractional positions:
O 0.5000 0.5000 0.0000
O 0.0000 0.0000 0.0000
La 0.0000 0.5000 0.8529
La 0.5000 0.0000 0.1471
As 0.5000 0.0000 0.6276
As 0.0000 0.5000 0.3724
Ni 0.0000 0.0000 0.5000
Ni 0.5000 0.5000 0.5000

Properties
- energy relative to the elements (eV per atom) = -1.5750
- E (eV per cell) = -46.79
- crystal system = tetragonal

=====

DyCr2O2: optimized geometry, PBE+U.

abc: 7.8908 7.8908 7.8908
angles: 110.32 110.32 107.79
Fractional positions:
Dy 0.8750 0.1250 0.7500
Dy 0.3750 0.1250 0.2500
Dy 0.8750 0.6250 0.7500
Dy 0.8750 0.1250 0.2500
O 0.4922 0.3373 0.1550
O 0.1823 0.3373 0.8450
O 0.6627 0.8177 0.1550
O 0.5677 0.9127 0.6550
O 0.0873 0.7422 0.6550
O 0.0873 0.4323 0.3450
O 0.2578 0.9127 0.3450
O 0.6627 0.5078 0.8450
Cr 0.5758 0.7601 0.8156
Cr 0.5101 0.1945 0.6844
Cr 0.9445 0.7601 0.1844
Cr 0.2399 0.4242 0.1844
Cr 0.2399 0.0555 0.8156
Cr 0.5101 0.8258 0.3156
Cr 0.8055 0.4899 0.3156
Cr 0.1742 0.4899 0.6844

Properties
- energy relative to the elements (eV per atom) = -1.0883
- E (eV per cell) = -135.51
- crystal system = tetragonal

=====

Question: The lowest E belongs to which entry?
Answer: K2MgP2WO10

=====

Question: The highest energy relative to the elements belongs to which entry?
Answer: DyCr2O2

=====

Question: What is the E in the sixth record?
Answer: -365.11 eV per cell

=====

Question: Among the records above, which one has the lowest energy relative to the elements?
Answer: La3NdCr4O12